Model a:
Compound: LiFeF4
Source: the Materials Project database
Functional: GGA+U
Structure: relaxed

Lattice parameters (Å, degrees): 4.946 6.091 6.212 60.66 70.88 89.75
Positions (direct):
Li1 0.000 0.000 0.000
Li2 0.495 0.503 0.002
Fe1 0.246 0.670 0.504
Fe2 0.748 0.339 0.503
F1 0.165 0.508 0.294
F2 0.182 0.974 0.251
F3 0.307 0.730 0.754
F4 0.332 0.302 0.715
F5 0.664 0.708 0.295
F6 0.685 0.286 0.251
F7 0.811 0.031 0.753
F8 0.830 0.497 0.714

Summary:
Total magnetic moment = 10.00 Bohr magnetons per cell
Space group = P1, No. 1

---

Model b:
Compound: LiFeF4
Source: the Materials Project database
Functional: GGA+U
Structure: relaxed

Lattice parameters (Å, degrees): 4.946 6.091 6.213 119.35 108.99 90.00
Positions (direct):
Li1 0.000 0.000 0.000
Li2 0.500 0.500 0.000
Fe1 0.250 0.659 0.500
Fe2 0.750 0.341 0.500
F1 0.167 0.499 0.710
F2 0.187 0.965 0.754
F3 0.309 0.732 0.251
F4 0.334 0.305 0.289
F5 0.667 0.711 0.710
F6 0.687 0.289 0.754
F7 0.813 0.035 0.246
F8 0.833 0.501 0.290

Summary:
Total magnetic moment = 0.00 Bohr magnetons per cell
Space group = P1, No. 1

---

Energy comparison, zero being the most stable, in kJ/mol of atoms: model a 0.0; model b 35.0.

---

Model a:
Compound: LiFeF4
Source: the Materials Project database
Functional: GGA+U
Structure: relaxed

Lattice parameters (Å, degrees): 8.936 8.982 9.937 90.00 90.00 90.00
Positions (direct):
Li1 0.207 0.143 0.085
Li2 0.207 0.357 0.585
Li3 0.293 0.643 0.085
Li4 0.293 0.857 0.585
Li5 0.707 0.143 0.415
Li6 0.707 0.357 0.915
Li7 0.793 0.643 0.415
Li8 0.793 0.857 0.915
Fe1 0.078 0.064 0.770
Fe2 0.078 0.436 0.270
Fe3 0.422 0.564 0.770
Fe4 0.422 0.936 0.270
Fe5 0.578 0.064 0.730
Fe6 0.578 0.436 0.230
Fe7 0.922 0.564 0.730
Fe8 0.922 0.936 0.230
F1 0.082 0.194 0.627
F2 0.082 0.306 0.127
F3 0.101 0.537 0.639
F4 0.101 0.963 0.139
F5 0.125 0.621 0.200
F6 0.125 0.879 0.700
F7 0.219 0.121 0.896
F8 0.219 0.379 0.396
F9 0.281 0.621 0.896
F10 0.281 0.879 0.396
F11 0.375 0.121 0.200
F12 0.375 0.379 0.700
F13 0.399 0.037 0.639
F14 0.399 0.463 0.139
F15 0.418 0.694 0.627
F16 0.418 0.806 0.127
F17 0.582 0.194 0.873
F18 0.582 0.306 0.373
F19 0.601 0.537 0.861
F20 0.601 0.963 0.361
F21 0.625 0.621 0.300
F22 0.625 0.879 0.800
F23 0.719 0.121 0.604
F24 0.719 0.379 0.104
F25 0.781 0.621 0.604
F26 0.781 0.879 0.104
F27 0.875 0.121 0.300
F28 0.875 0.379 0.800
F29 0.899 0.037 0.861
F30 0.899 0.463 0.361
F31 0.918 0.694 0.873
F32 0.918 0.806 0.373

Summary:
Total magnetic moment = 40.00 Bohr magnetons per cell
Space group = Pbca, No. 61

---

Model b:
Compound: LiFeF4
Source: the Materials Project database
Functional: GGA+U
Structure: relaxed

Lattice parameters (Å, degrees): 6.918 6.918 7.233 104.68 104.68 82.61
Positions (direct):
Li1 0.247 0.753 0.000
Li2 0.272 0.272 0.395
Li3 0.728 0.728 0.605
Li4 0.753 0.247 0.000
Fe1 0.191 0.809 0.500
Fe2 0.213 0.213 0.871
Fe3 0.787 0.787 0.129
Fe4 0.809 0.191 0.500
F1 0.099 0.800 0.217
F2 0.134 0.134 0.544
F3 0.188 0.486 0.883
F4 0.188 0.539 0.481
F5 0.197 0.197 0.121
F6 0.200 0.901 0.783
F7 0.461 0.812 0.519
F8 0.486 0.188 0.883
F9 0.514 0.812 0.117
F10 0.539 0.188 0.481
F11 0.800 0.099 0.217
F12 0.803 0.803 0.879
F13 0.812 0.461 0.519
F14 0.812 0.514 0.117
F15 0.866 0.866 0.456
F16 0.901 0.200 0.783

Summary:
Total magnetic moment = 20.00 Bohr magnetons per cell
Space group = C2/m, No. 12

---

Energy comparison, zero being the most stable, in kJ/mol of atoms: model a 4.9; model b 0.0.

---

Model a:
Compound: MgZnCo4O8
Source: the Materials Project database
Functional: GGA+U
Structure: relaxed

Lattice parameters (Å, degrees): 3.039 7.715 7.789 117.08 98.91 92.58
Positions (direct):
Mg1 0.000 0.000 0.000
Zn1 0.659 0.482 0.291
Co1 0.223 0.967 0.537
Co2 0.327 0.532 0.703
Co3 0.538 0.763 0.154
Co4 0.896 0.292 0.899
O1 0.004 0.555 0.097
O2 0.099 0.958 0.263
O3 0.301 0.310 0.741
O4 0.442 0.790 0.914
O5 0.552 0.221 0.064
O6 0.645 0.774 0.413
O7 0.761 0.496 0.549
O8 0.816 0.027 0.731

Summary:
Total magnetic moment = 12.00 Bohr magnetons per cell
Space group = P1, No. 1

---

Model b:
Compound: MgZnCo4O8
Source: the Materials Project database
Functional: GGA+U
Structure: relaxed

Lattice parameters (Å, degrees): 2.957 7.085 7.845 82.88 79.76 78.16
Positions (direct):
Mg1 0.000 0.000 0.000
Zn1 0.836 0.974 0.353
Co1 0.058 0.196 0.686
Co2 0.279 0.473 0.989
Co3 0.513 0.525 0.393
Co4 0.750 0.795 0.693
O1 0.210 0.713 0.867
O2 0.227 0.997 0.539
O3 0.418 0.993 0.174
O4 0.545 0.328 0.576
O5 0.576 0.048 0.800
O6 0.695 0.486 0.167
O7 0.896 0.325 0.892
O8 0.923 0.673 0.463

Summary:
Total magnetic moment = 12.00 Bohr magnetons per cell
Space group = P1, No. 1

---

Energy comparison, zero being the most stable, in kJ/mol of atoms: model a 2.8; model b 0.0.